Record 1
VASP calculation (PBE-GGA) on a relaxed Sr2MgTiO4 crystal.

Geometry as CIF:
```
data_Sr2MgTiO4
_chemical_formula_sum 'Sr4 Mg2 Ti2 O8'
_cell_length_a 5.788
_cell_length_b 5.456
_cell_length_c 8.187
_cell_angle_alpha 90.00
_cell_angle_beta 95.07
_cell_angle_gamma 90.00
_space_group_name_H-M_alt 'C 1 m 1'
_space_group_IT_number 8
loop_
_space_group_symop_operation_xyz
'x,y,z'
'x,-y,z'
'x+1/2,y+1/2,z'
'x+1/2,-y+1/2,z'
loop_
_atom_site_label
_atom_site_type_symbol
_atom_site_fract_x
_atom_site_fract_y
_atom_site_fract_z
Sr1 Sr 0.000 0.000 0.000
Sr2 Sr 0.051 0.500 0.316
Mg1 Mg 0.468 0.000 0.751
Ti1 Ti 0.071 0.000 0.534
O1 O 0.063 0.500 0.998
O2 O 0.106 0.000 0.292
O3 O 0.371 0.243 0.551
```

## Properties
M_tot (μB per formula unit): 0.00
Formation energy (eV/atom): -2.7944
Density (g cm⁻³): 4.0
ΔE to the lowest computed polymorph (meV/atom): 0
Total DFT energy (no corrections) (eV per atom): -6.534



Record 2
VASP calculation (PBE-GGA) on a relaxed Na2Sc4In4SiS11O48 crystal.

Geometry as CIF:
```
data_Na2Sc4In4SiS11O48
_chemical_formula_sum 'Na6 Sc12 In12 Si3 S33 O144'
_cell_length_a 8.895
_cell_length_b 15.402
_cell_length_c 23.140
_cell_angle_alpha 90.04
_cell_angle_beta 90.01
_cell_angle_gamma 90.10
_space_group_name_H-M_alt 'P 1'
_space_group_IT_number 1
loop_
_space_group_symop_operation_xyz
'x,y,z'
loop_
_atom_site_label
_atom_site_type_symbol
_atom_site_fract_x
_atom_site_fract_y
_atom_site_fract_z
Na1 Na 0.000 0.000 0.000
Na2 Na 0.003 0.336 0.336
Na3 Na 0.487 0.836 0.839
Na4 Na 0.490 0.500 0.006
Na5 Na 0.494 0.499 0.500
Na6 Na 0.996 0.005 0.502
Sc1 Sc 0.007 0.336 0.481
Sc2 Sc 0.492 0.178 0.521
Sc3 Sc 0.495 0.172 0.816
Sc4 Sc 0.495 0.503 0.855
Sc5 Sc 0.496 0.838 0.480
Sc6 Sc 0.497 0.837 0.688
Sc7 Sc 0.498 0.503 0.651
Sc8 Sc 0.994 0.005 0.651
Sc9 Sc 0.994 0.337 0.691
Sc10 Sc 0.995 0.670 0.312
Sc11 Sc 0.996 0.005 0.353
Sc12 Sc 0.997 0.670 0.523
In1 In 0.000 0.673 0.021
In2 In 0.001 0.338 0.183
In3 In 0.001 0.673 0.818
In4 In 0.003 0.338 0.984
In5 In 0.487 0.837 0.983
In6 In 0.491 0.175 0.025
In7 In 0.492 0.174 0.316
In8 In 0.492 0.499 0.149
In9 In 0.494 0.499 0.354
In10 In 0.496 0.837 0.189
In11 In 0.995 0.005 0.151
In12 In 0.999 0.000 0.856
Si1 Si 0.143 0.817 0.919
Si2 Si 0.289 0.338 0.085
Si3 Si 0.352 0.318 0.418
S1 S 0.140 0.192 0.586
S2 S 0.141 0.150 0.253
S3 S 0.142 0.482 0.586
S4 S 0.142 0.523 0.918
S5 S 0.142 0.859 0.253
S6 S 0.201 0.505 0.253
S7 S 0.205 0.171 0.918
S8 S 0.206 0.838 0.585
S9 S 0.285 0.672 0.419
S10 S 0.289 0.004 0.751
S11 S 0.350 0.025 0.420
S12 S 0.350 0.983 0.086
S13 S 0.351 0.359 0.752
S14 S 0.351 0.691 0.086
S15 S 0.352 0.649 0.752
S16 S 0.640 0.027 0.919
S17 S 0.641 0.649 0.252
S18 S 0.641 0.692 0.585
S19 S 0.641 0.982 0.585
S20 S 0.644 0.317 0.918
S21 S 0.647 0.357 0.252
S22 S 0.703 0.669 0.918
S23 S 0.704 0.004 0.253
S24 S 0.708 0.338 0.586
S25 S 0.787 0.505 0.752
S26 S 0.787 0.837 0.085
S27 S 0.788 0.170 0.419
S28 S 0.849 0.858 0.751
S29 S 0.850 0.190 0.085
S30 S 0.850 0.486 0.084
S31 S 0.851 0.149 0.753
S32 S 0.852 0.527 0.419
S33 S 0.852 0.815 0.419
O1 O 0.065 0.777 0.977
O2 O 0.065 0.914 0.915
O3 O 0.068 0.236 0.250
O4 O 0.070 0.103 0.594
O5 O 0.070 0.231 0.534
O6 O 0.071 0.895 0.200
O7 O 0.073 0.106 0.304
O8 O 0.073 0.437 0.924
O9 O 0.073 0.772 0.262
O10 O 0.074 0.442 0.638
O11 O 0.074 0.570 0.577
O12 O 0.075 0.562 0.866
O13 O 0.102 0.427 0.248
O14 O 0.106 0.583 0.262
O15 O 0.107 0.093 0.911
O16 O 0.109 0.916 0.593
O17 O 0.110 0.249 0.923
O18 O 0.110 0.760 0.576
O19 O 0.112 0.246 0.638
O20 O 0.114 0.914 0.304
O21 O 0.116 0.097 0.200
O22 O 0.117 0.428 0.534
O23 O 0.123 0.760 0.860
O24 O 0.124 0.577 0.971
O25 O 0.168 0.327 0.428
O26 O 0.182 0.992 0.092
O27 O 0.183 0.014 0.412
O28 O 0.187 0.350 0.743
O29 O 0.187 0.681 0.080
O30 O 0.188 0.656 0.756
O31 O 0.189 0.658 0.471
O32 O 0.191 0.358 0.027
O33 O 0.191 0.685 0.367
O34 O 0.193 0.017 0.700
O35 O 0.193 0.319 0.144
O36 O 0.198 0.987 0.803
O37 O 0.292 0.522 0.201
O38 O 0.294 0.489 0.305
O39 O 0.297 0.154 0.970
O40 O 0.300 0.824 0.637
O41 O 0.302 0.852 0.533
O42 O 0.303 0.183 0.866
O43 O 0.304 0.181 0.578
O44 O 0.305 0.156 0.259
O45 O 0.306 0.850 0.246
O46 O 0.308 0.493 0.594
O47 O 0.310 0.515 0.910
O48 O 0.327 0.827 0.922
O49 O 0.369 0.258 0.361
O50 O 0.370 0.929 0.034
O51 O 0.374 0.746 0.139
O52 O 0.375 0.079 0.471
O53 O 0.377 0.414 0.803
O54 O 0.380 0.750 0.429
O55 O 0.383 0.595 0.414
O56 O 0.384 0.595 0.700
O57 O 0.385 0.082 0.760
O58 O 0.386 0.926 0.743
O59 O 0.392 0.252 0.080
O60 O 0.395 0.426 0.089
O61 O 0.416 0.937 0.429
O62 O 0.416 0.944 0.139
O63 O 0.419 0.059 0.367
O64 O 0.419 0.273 0.761
O65 O 0.420 0.068 0.079
O66 O 0.421 0.400 0.700
O67 O 0.422 0.609 0.803
O68 O 0.422 0.729 0.034
O69 O 0.422 0.737 0.744
O70 O 0.424 0.605 0.092
O71 O 0.425 0.271 0.476
O72 O 0.428 0.415 0.416
O73 O 0.571 0.611 0.305
O74 O 0.571 0.733 0.533
O75 O 0.572 0.605 0.593
O76 O 0.573 0.068 0.866
O77 O 0.573 0.280 0.970
O78 O 0.574 0.068 0.577
O79 O 0.574 0.404 0.909
O80 O 0.574 0.736 0.245
O81 O 0.574 0.939 0.924
O82 O 0.575 0.940 0.637
O83 O 0.578 0.397 0.201
O84 O 0.579 0.270 0.258
O85 O 0.604 0.591 0.910
O86 O 0.608 0.416 0.594
O87 O 0.609 0.082 0.261
O88 O 0.609 0.748 0.925
O89 O 0.610 0.926 0.246
O90 O 0.613 0.260 0.579
O91 O 0.614 0.262 0.866
O92 O 0.614 0.746 0.637
O93 O 0.615 0.079 0.972
O94 O 0.616 0.926 0.534
O95 O 0.619 0.595 0.200
O96 O 0.627 0.411 0.304
O97 O 0.682 0.849 0.742
O98 O 0.685 0.497 0.091
O99 O 0.687 0.158 0.761
O100 O 0.687 0.178 0.078
O101 O 0.687 0.520 0.414
O102 O 0.688 0.825 0.428
O103 O 0.690 0.489 0.804
O104 O 0.690 0.518 0.700
O105 O 0.694 0.854 0.033
O106 O 0.695 0.154 0.471
O107 O 0.695 0.825 0.138
O108 O 0.700 0.184 0.366
O109 O 0.791 0.652 0.971
O110 O 0.792 0.683 0.865
O111 O 0.795 0.020 0.200
O112 O 0.800 0.353 0.534
O113 O 0.803 0.326 0.638
O114 O 0.803 0.990 0.304
O115 O 0.805 0.683 0.576
O116 O 0.806 0.020 0.912
O117 O 0.806 0.659 0.262
O118 O 0.808 0.326 0.925
O119 O 0.808 0.990 0.593
O120 O 0.815 0.349 0.246
O121 O 0.867 0.912 0.803
O122 O 0.868 0.431 0.033
O123 O 0.870 0.242 0.138
O124 O 0.877 0.093 0.700
O125 O 0.878 0.762 0.367
O126 O 0.880 0.759 0.080
O127 O 0.881 0.427 0.743
O128 O 0.881 0.581 0.471
O129 O 0.882 0.582 0.760
O130 O 0.884 0.248 0.427
O131 O 0.884 0.917 0.091
O132 O 0.887 0.091 0.412
O133 O 0.915 0.448 0.138
O134 O 0.915 0.771 0.756
O135 O 0.917 0.901 0.700
O136 O 0.919 0.227 0.033
O137 O 0.919 0.236 0.742
O138 O 0.919 0.439 0.426
O139 O 0.920 0.567 0.367
O140 O 0.920 0.904 0.412
O141 O 0.921 0.775 0.471
O142 O 0.922 0.111 0.804
O143 O 0.922 0.572 0.077
O144 O 0.923 0.102 0.091
```

## Properties
M_tot (μB per formula unit): 0.00
Formation energy (eV/atom): -2.3009
Density (g cm⁻³): 2.9
Total DFT energy (no corrections) (eV per atom): -6.507



What did the first record say?
VASP calculation (PBE-GGA) on a relaxed Sr2MgTiO4 crystal.

Geometry as CIF:
```
data_Sr2MgTiO4
_chemical_formula_sum 'Sr4 Mg2 Ti2 O8'
_cell_length_a 5.788
_cell_length_b 5.456
_cell_length_c 8.187
_cell_angle_alpha 90.00
_cell_angle_beta 95.07
_cell_angle_gamma 90.00
_space_group_name_H-M_alt 'C 1 m 1'
_space_group_IT_number 8
loop_
_space_group_symop_operation_xyz
'x,y,z'
'x,-y,z'
'x+1/2,y+1/2,z'
'x+1/2,-y+1/2,z'
loop_
_atom_site_label
_atom_site_type_symbol
_atom_site_fract_x
_atom_site_fract_y
_atom_site_fract_z
Sr1 Sr 0.000 0.000 0.000
Sr2 Sr 0.051 0.500 0.316
Mg1 Mg 0.468 0.000 0.751
Ti1 Ti 0.071 0.000 0.534
O1 O 0.063 0.500 0.998
O2 O 0.106 0.000 0.292
O3 O 0.371 0.243 0.551
```

## Properties
M_tot (μB per formula unit): 0.00
Formation energy (eV/atom): -2.7944
Density (g cm⁻³): 4.0
ΔE to the lowest computed polymorph (meV/atom): 0
Total DFT energy (no corrections) (eV per atom): -6.534



M_tot of number 2 (Na2Sc4In4SiS11O48)? 0.00 μB per formula unit